No. 1
{"formula": "US2", "functional": "meta-GGA r2SCAN", "state": "optimized geometry", "lattice_angstrom": [[3.647, -6.317, 0.008], [3.638, 6.312, -0.004], [0.002, -0.003, 4.059]], "species": ["U", "U", "U", "S", "S", "S", "S", "S", "S"], "fractional_positions": [[0.666, 0.333, 0.531], [0.333, 0.667, 0.531], [0.002, 0.000, 0.981], [0.001, 0.598, 0.995], [0.403, 0.402, 0.995], [0.596, 0.000, 0.996], [0.259, 0.000, 0.490], [0.739, 0.740, 0.491], [0.999, 0.260, 0.491]], "magnetic_moment_mub_per_fu": 2.000, "sg": "Cm, No. 8"}

=====

No. 2
{"formula": "Tb3OsO7", "functional": "meta-GGA r2SCAN", "state": "optimized geometry", "lattice_angstrom": [[-0.690, 5.048, -3.891], [-1.106, 1.707, 6.080], [7.148, 1.627, 0.843]], "species": ["Tb", "Tb", "Tb", "Tb", "Tb", "Tb", "Os", "Os", "O", "O", "O", "O", "O", "O", "O", "O", "O", "O", "O", "O", "O", "O"], "fractional_positions": [[0.000, 0.000, 0.500], [0.000, 0.000, 0.000], [0.520, 0.068, 0.250], [0.932, 0.480, 0.750], [0.480, 0.932, 0.750], [0.068, 0.520, 0.250], [0.500, 0.500, 0.500], [0.500, 0.500, 0.000], [0.437, 0.181, 0.538], [0.819, 0.563, 0.462], [0.437, 0.181, 0.962], [0.819, 0.563, 0.038], [0.563, 0.819, 0.462], [0.181, 0.437, 0.538], [0.563, 0.819, 0.038], [0.181, 0.437, 0.962], [0.156, 0.889, 0.250], [0.111, 0.844, 0.750], [0.844, 0.111, 0.750], [0.889, 0.156, 0.250], [0.408, 0.408, 0.250], [0.592, 0.592, 0.750]], "magnetic_moment_mub_per_fu": 3.000, "sg": "Cmcm, No. 63"}

=====

No. 3
{"formula": "HoMn2Ge2", "functional": "meta-GGA r2SCAN", "state": "optimized geometry", "lattice_angstrom": [[-1.201, 1.463, -3.587], [3.860, 0.771, -0.977], [-0.885, -6.119, 0.094]], "species": ["Ho", "Mn", "Mn", "Ge", "Ge"], "fractional_positions": [[0.000, 0.000, 0.000], [0.250, 0.750, 0.500], [0.750, 0.250, 0.500], [0.613, 0.613, 0.225], [0.387, 0.387, 0.775]], "magnetic_moment_mub_per_fu": 7.337, "sg": "I4/mmm, No. 139"}

=====

No. 4
{"formula": "BaMg4Ge3", "functional": "meta-GGA r2SCAN", "state": "optimized geometry", "lattice_angstrom": [[-0.241, 4.606, -0.466], [-4.619, -0.209, 0.328], [0.574, 0.906, 8.663]], "species": ["Ba", "Mg", "Mg", "Mg", "Mg", "Ge", "Ge", "Ge"], "fractional_positions": [[0.000, 0.000, 0.000], [0.500, 0.000, 0.681], [0.000, 0.500, 0.681], [0.500, 0.000, 0.319], [0.000, 0.500, 0.319], [0.000, 0.000, 0.500], [0.500, 0.500, 0.852], [0.500, 0.500, 0.148]], "magnetic_moment_mub_per_fu": 0.000, "sg": "P4/mmm, No. 123"}

=====

No. 5
{"formula": "TmMn6Ge6", "functional": "meta-GGA r2SCAN", "state": "optimized geometry", "lattice_angstrom": [[-2.305, 1.333, 4.399], [1.631, -4.828, -0.688], [7.229, 1.989, 3.185]], "species": ["Tm", "Mn", "Mn", "Mn", "Mn", "Mn", "Mn", "Ge", "Ge", "Ge", "Ge", "Ge", "Ge"], "fractional_positions": [[0.000, 0.000, 0.000], [0.000, 0.500, 0.749], [0.500, 0.000, 0.251], [0.500, 0.500, 0.251], [0.000, 0.500, 0.251], [0.500, 0.000, 0.749], [0.500, 0.500, 0.749], [0.000, 0.000, 0.657], [0.333, 0.667, 0.500], [0.667, 0.333, 0.500], [0.333, 0.667, 0.000], [0.667, 0.333, 0.000], [0.000, 0.000, 0.343]], "magnetic_moment_mub_per_fu": 12.761, "sg": "P6/mmm, No. 191"}

=====

No. 6
{"formula": "Nd2EuSe4", "functional": "meta-GGA r2SCAN", "state": "optimized geometry", "lattice_angstrom": [[-3.207, 7.061, 0.795], [-5.565, -5.251, -1.494], [3.676, -1.931, 6.598]], "species": ["Nd", "Nd", "Nd", "Nd", "Eu", "Eu", "Se", "Se", "Se", "Se", "Se", "Se", "Se", "Se"], "fractional_positions": [[0.123, 0.750, 0.873], [0.250, 0.623, 0.373], [0.377, 0.250, 0.627], [0.750, 0.877, 0.127], [0.625, 0.375, 0.250], [0.875, 0.125, 0.750], [0.144, 0.143, 0.149], [0.494, 0.995, 0.351], [0.356, 0.505, 0.000], [0.643, 0.644, 0.649], [0.495, 0.994, 0.851], [0.005, 0.856, 0.500], [0.857, 0.506, 0.000], [0.006, 0.357, 0.500]], "magnetic_moment_mub_per_fu": 7.000, "sg": "I-42d, No. 122"}

=====

No. 7
{"formula": "ThSi3Ru", "functional": "meta-GGA r2SCAN", "state": "optimized geometry", "lattice_angstrom": [[4.566, 1.063, 3.390], [1.139, 5.513, 1.336], [-4.596, -3.514, 0.056]], "species": ["Th", "Si", "Si", "Si", "Ru"], "fractional_positions": [[0.995, 0.995, 0.000], [0.418, 0.418, 0.000], [0.263, 0.763, 0.500], [0.763, 0.263, 0.500], [0.655, 0.655, 0.000]], "magnetic_moment_mub_per_fu": 0.000, "sg": "I4mm, No. 107"}

=====

No. 8
{"formula": "KAl11O17", "functional": "meta-GGA r2SCAN", "state": "optimized geometry", "lattice_angstrom": [[-7.333, 9.012, 2.262], [-7.241, 8.755, -3.322], [-10.565, 5.321, -0.420]], "species": ["K", "Al", "Al", "Al", "Al", "Al", "Al", "Al", "Al", "Al", "Al", "Al", "O", "O", "O", "O", "O", "O", "O", "O", "O", "O", "O", "O", "O", "O", "O", "O", "O"], "fractional_positions": [[0.171, 0.171, 0.171], [0.902, 0.407, 0.902], [0.000, 0.000, 0.000], [0.902, 0.902, 0.407], [0.407, 0.902, 0.902], [0.550, 0.550, 0.550], [0.650, 0.650, 0.650], [0.450, 0.450, 0.450], [0.350, 0.350, 0.350], [0.595, 0.097, 0.097], [0.097, 0.097, 0.595], [0.097, 0.595, 0.097], [0.703, 0.703, 0.703], [0.907, 0.907, 0.907], [0.720, 0.189, 0.189], [0.810, 0.281, 0.810], [0.908, 0.402, 0.402], [0.597, 0.094, 0.597], [0.402, 0.402, 0.908], [0.810, 0.810, 0.281], [0.189, 0.189, 0.720], [0.500, 0.500, 0.500], [0.597, 0.597, 0.094], [0.094, 0.597, 0.597], [0.402, 0.908, 0.402], [0.189, 0.720, 0.189], [0.281, 0.810, 0.810], [0.297, 0.297, 0.297], [0.094, 0.094, 0.094]], "relative_energy_ev_per_atom": 0.007, "magnetic_moment_mub_per_fu": 0.000, "sg": "R3m, No. 160"}

=====

No. 9
{"formula": "DyH2", "functional": "meta-GGA r2SCAN", "state": "optimized geometry", "lattice_angstrom": [[3.172, 0.000, 1.831], [1.057, 2.990, 1.831], [0.000, 0.000, 3.662]], "species": ["Dy", "H", "H"], "fractional_positions": [[0.000, 0.000, 0.000], [0.750, 0.750, 0.750], [0.250, 0.250, 0.250]], "magnetic_moment_mub_per_fu": 0.000, "sg": "Fm-3m, No. 225"}

=====

No. 10
{"formula": "Tb3Dy", "functional": "meta-GGA r2SCAN", "state": "optimized geometry", "lattice_angstrom": [[-2.518, 2.518, 5.033], [2.518, -2.518, 5.033], [2.518, 2.518, -5.033]], "species": ["Tb", "Tb", "Tb", "Dy"], "fractional_positions": [[0.750, 0.250, 0.500], [0.250, 0.750, 0.500], [0.500, 0.500, 0.000], [0.000, 0.000, 0.000]], "magnetic_moment_mub_per_fu": 0.000, "sg": "I4/mmm, No. 139"}

=====

No. 11
{"formula": "Er2Ge2O7", "functional": "meta-GGA r2SCAN", "state": "optimized geometry", "lattice_angstrom": [[-3.732, -3.120, 4.692], [5.585, -2.790, 2.587], [1.351, 9.661, 7.499]], "species": ["Er", "Er", "Er", "Er", "Er", "Er", "Er", "Er", "Ge", "Ge", "Ge", "Ge", "Ge", "Ge", "Ge", "Ge", "O", "O", "O", "O", "O", "O", "O", "O", "O", "O", "O", "O", "O", "O", "O", "O", "O", "O", "O", "O", "O", "O", "O", "O", "O", "O", "O", "O"], "fractional_positions": [[0.645, 0.126, 0.365], [0.355, 0.874, 0.865], [0.126, 0.645, 0.635], [0.626, 0.855, 0.115], [0.374, 0.145, 0.615], [0.855, 0.626, 0.885], [0.145, 0.374, 0.385], [0.874, 0.355, 0.135], [0.849, 0.100, 0.882], [0.151, 0.900, 0.382], [0.100, 0.849, 0.118], [0.600, 0.651, 0.632], [0.400, 0.349, 0.132], [0.651, 0.600, 0.368], [0.349, 0.400, 0.868], [0.900, 0.151, 0.618], [0.857, 0.320, 0.956], [0.143, 0.680, 0.456], [0.320, 0.857, 0.044], [0.820, 0.643, 0.706], [0.180, 0.357, 0.206], [0.643, 0.820, 0.294], [0.357, 0.180, 0.794], [0.680, 0.143, 0.544], [0.662, 0.936, 0.929], [0.338, 0.064, 0.429], [0.936, 0.662, 0.071], [0.436, 0.838, 0.679], [0.564, 0.162, 0.179], [0.838, 0.436, 0.321], [0.162, 0.564, 0.821], [0.064, 0.338, 0.571], [0.804, 0.196, 0.750], [0.304, 0.304, 0.000], [0.696, 0.696, 0.500], [0.196, 0.804, 0.250], [0.078, 0.966, 0.622], [0.534, 0.578, 0.872], [0.466, 0.422, 0.372], [0.578, 0.534, 0.128], [0.422, 0.466, 0.628], [0.922, 0.034, 0.122], [0.966, 0.078, 0.378], [0.034, 0.922, 0.878]], "magnetic_moment_mub_per_fu": 0.000, "sg": "P4_12_12, No. 92"}

=====

No. 12
{"formula": "GaSeCl", "functional": "meta-GGA r2SCAN", "state": "optimized geometry", "lattice_angstrom": [[-1.554, -3.259, -1.205], [4.829, -2.641, 0.918], [-4.379, -3.116, 14.074]], "species": ["Ga", "Ga", "Ga", "Ga", "Se", "Se", "Se", "Se", "Cl", "Cl", "Cl", "Cl"], "fractional_positions": [[0.500, 0.532, 0.190], [0.000, 0.968, 0.690], [0.000, 0.032, 0.310], [0.500, 0.468, 0.810], [0.500, 0.239, 0.673], [0.000, 0.739, 0.827], [0.000, 0.261, 0.173], [0.500, 0.761, 0.327], [0.500, 0.234, 0.924], [0.000, 0.734, 0.576], [0.500, 0.766, 0.076], [0.000, 0.266, 0.424]], "magnetic_moment_mub_per_fu": 0.000, "sg": "Pnnm, No. 58"}

=====

Quick rundown of formation energy from the elements, same order as above: -171.3, -295.9, -59.1, -44.6, -33.6, -217.1, -72.1, -317.1, -77.3, 3.2, -278.9, -93.8 kJ per mole of atoms